Density functional theory data (PBE) for crystalline ZrZnNi4 at its relaxed geometry.

```
ZrZnNi4
1.0
0.000 3.389 3.389
3.389 0.000 3.389
3.389 3.389 0.000
Zr Zn Ni
1 1 4
Direct
0.000 0.000 0.000
0.250 0.250 0.250
0.624 0.624 0.624
0.127 0.624 0.624
0.624 0.127 0.624
0.624 0.624 0.127
```

Output
Its final energy is -5.902 eV/atom. As for the crystal system: cubic. As for the symmetry: F-43m, No. 216.

Density functional theory data (PBE) for crystalline ZrZn20Ni2 at its relaxed geometry.

```
ZrZn20Ni2
1.0
-7.929 -5.861 -0.235
-5.953 -0.561 7.844
-9.035 3.939 -0.374
Zr Zn Ni
2 40 4
Direct
0.500 0.500 0.500
0.750 0.750 0.750
0.568 0.302 0.302
0.302 0.568 0.828
0.302 0.828 0.568
0.828 0.302 0.302
0.302 0.302 0.568
0.568 0.828 0.302
0.828 0.568 0.302
0.302 0.302 0.828
0.302 0.568 0.302
0.828 0.302 0.568
0.568 0.302 0.828
0.302 0.828 0.302
0.682 0.948 0.948
0.948 0.682 0.422
0.948 0.422 0.682
0.422 0.948 0.948
0.948 0.948 0.682
0.682 0.422 0.948
0.422 0.682 0.948
0.948 0.948 0.422
0.948 0.682 0.948
0.422 0.948 0.682
0.682 0.948 0.422
0.948 0.422 0.948
0.862 0.862 0.138
0.138 0.138 0.862
0.862 0.138 0.862
0.138 0.862 0.138
0.138 0.862 0.862
0.862 0.138 0.138
0.388 0.388 0.112
0.112 0.112 0.388
0.388 0.112 0.388
0.112 0.388 0.112
0.112 0.388 0.388
0.388 0.112 0.112
0.125 0.625 0.625
0.625 0.125 0.625
0.625 0.625 0.125
0.625 0.625 0.625
0.625 0.125 0.125
0.125 0.625 0.125
0.125 0.125 0.625
0.125 0.125 0.125
```

Output
Its final energy is -2.152 eV/atom. As for the crystal system: cubic. As for the symmetry: Fd-3m, No. 227. Its magnetic moment is 0.01 Bohr magnetons per cell.

Density functional theory data (PBE) for crystalline ZrNi3 at its relaxed geometry.

```
ZrNi3
1.0
-1.160 0.042 5.187
1.062 -4.597 -2.448
4.177 0.469 0.930
Zr Ni
2 6
Direct
0.667 0.333 0.750
0.333 0.667 0.250
0.156 0.311 0.750
0.844 0.156 0.250
0.844 0.689 0.250
0.156 0.844 0.750
0.689 0.844 0.750
0.311 0.156 0.250
```

Output
Its final energy is -6.930 eV/atom. As for the crystal system: hexagonal. As for the symmetry: P6_3/mmc, No. 194.

What did the third record say?
Density functional theory data (PBE) for crystalline ZrNi3 at its relaxed geometry.

```
ZrNi3
1.0
-1.160 0.042 5.187
1.062 -4.597 -2.448
4.177 0.469 0.930
Zr Ni
2 6
Direct
0.667 0.333 0.750
0.333 0.667 0.250
0.156 0.311 0.750
0.844 0.156 0.250
0.844 0.689 0.250
0.156 0.844 0.750
0.689 0.844 0.750
0.311 0.156 0.250
```

Output
Its final energy is -6.930 eV/atom. As for the crystal system: hexagonal. As for the symmetry: P6_3/mmc, No. 194.